No. 1
A plane-wave DFT calculation with PBE with a Hubbard U was carried out for a geometry-optimized Li2TiNi2O5 structure.

Values from the calculation:
relative energy among the computed polymorphs: 5.8 meV/atom
E_tot: -6.18 eV per atom
ΔE_f: -51.5 kcal/mol of atoms

a = 5.032 Å, b = 14.853 Å, c = 5.078 Å
α = 90.00°, β = 108.64°, γ = 90.00°
Space group C2/c (No. 15)
Asymmetric unit:
1 Li 0.000 0.053 0.250 x4
2 Li 0.000 0.249 0.250 x4
3 Ti 0.000 0.146 0.750 x4
4 Ni 0.000 0.348 0.750 x4
5 Ni 0.000 0.451 0.250 x4
6 O 0.239 0.148 0.517 x8
7 O 0.246 0.056 0.993 x8
8 O 0.250 0.250 0.000 x4

No. 2
A plane-wave DFT calculation with PBE with a Hubbard U was carried out for a geometry-optimized Li2CoCSO7 structure.

Values from the calculation:
relative energy among the computed polymorphs: 0.0 meV/atom
E_tot: -6.36 eV per atom
ΔE_f: -45.7 kcal/mol of atoms

a = 6.430 Å, b = 8.960 Å, c = 9.956 Å
α = 83.39°, β = 89.92°, γ = 89.91°
Space group P1 (No. 1)
Asymmetric unit:
1 Li 0.000 0.000 0.000 x1
2 Li 0.001 0.000 0.499 x1
3 Li 0.470 0.000 0.499 x1
4 Li 0.470 0.999 0.999 x1
5 Li 0.499 0.364 0.711 x1
6 Li 0.502 0.363 0.210 x1
7 Li 0.969 0.364 0.710 x1
8 Li 0.972 0.365 0.210 x1
9 Co 0.235 0.830 0.722 x1
10 Co 0.236 0.829 0.222 x1
11 Co 0.735 0.534 0.488 x1
12 Co 0.739 0.535 0.988 x1
13 C 0.235 0.109 0.742 x1
14 C 0.236 0.109 0.242 x1
15 C 0.735 0.254 0.969 x1
16 C 0.736 0.254 0.468 x1
17 S 0.236 0.593 0.481 x1
18 S 0.237 0.593 0.981 x1
19 S 0.736 0.770 0.229 x1
20 S 0.736 0.771 0.728 x1
21 O 0.051 0.502 0.529 x1
22 O 0.053 0.502 0.030 x1
23 O 0.234 0.249 0.756 x1
24 O 0.235 0.004 0.846 x1
25 O 0.235 0.059 0.123 x1
26 O 0.235 0.060 0.623 x1
27 O 0.235 0.741 0.533 x1
28 O 0.236 0.004 0.346 x1
29 O 0.236 0.617 0.330 x1
30 O 0.236 0.618 0.830 x1
31 O 0.237 0.249 0.255 x1
32 O 0.237 0.742 0.033 x1
33 O 0.421 0.502 0.530 x1
34 O 0.422 0.502 0.029 x1
35 O 0.550 0.862 0.680 x1
36 O 0.551 0.861 0.180 x1
37 O 0.731 0.359 0.864 x1
38 O 0.734 0.114 0.955 x1
39 O 0.735 0.746 0.380 x1
40 O 0.736 0.114 0.454 x1
41 O 0.736 0.304 0.587 x1
42 O 0.736 0.359 0.364 x1
43 O 0.736 0.622 0.677 x1
44 O 0.737 0.621 0.177 x1
45 O 0.737 0.747 0.880 x1
46 O 0.739 0.304 0.087 x1
47 O 0.920 0.862 0.680 x1
48 O 0.921 0.861 0.180 x1

No. 3
A plane-wave DFT calculation with PBE with a Hubbard U was carried out for a geometry-optimized Li9Mn2Co5O16 structure.

Values from the calculation:
relative energy among the computed polymorphs: 69.4 meV/atom
E_tot: -5.79 eV per atom
ΔE_f: -41.4 kcal/mol of atoms

a = 5.807 Å, b = 6.594 Å, c = 7.762 Å
α = 90.36°, β = 98.03°, γ = 102.56°
Space group P1 (No. 1)
Asymmetric unit:
1 Li 0.000 0.000 0.000 x1
2 Li 0.002 0.500 0.496 x1
3 Li 0.235 0.738 0.233 x1
4 Li 0.258 0.263 0.754 x1
5 Li 0.504 0.996 0.000 x1
6 Li 0.507 0.500 0.498 x1
7 Li 0.620 0.621 0.870 x1
8 Li 0.730 0.739 0.221 x1
9 Li 0.746 0.263 0.749 x1
10 Mn 0.379 0.871 0.623 x1
11 Mn 0.874 0.868 0.623 x1
12 Co 0.118 0.623 0.876 x1
13 Co 0.132 0.130 0.367 x1
14 Co 0.376 0.379 0.114 x1
15 Co 0.634 0.131 0.367 x1
16 Co 0.868 0.377 0.113 x1
17 O 0.040 0.316 0.933 x1
18 O 0.085 0.826 0.453 x1
19 O 0.174 0.932 0.786 x1
20 O 0.189 0.424 0.290 x1
21 O 0.306 0.588 0.685 x1
22 O 0.317 0.080 0.193 x1
23 O 0.420 0.665 0.053 x1
24 O 0.440 0.167 0.549 x1
25 O 0.550 0.313 0.948 x1
26 O 0.580 0.821 0.455 x1
27 O 0.672 0.934 0.782 x1
28 O 0.703 0.430 0.302 x1
29 O 0.810 0.063 0.194 x1
30 O 0.821 0.588 0.679 x1
31 O 0.939 0.166 0.547 x1
32 O 0.942 0.685 0.047 x1

No. 4
A plane-wave DFT calculation with PBE with a Hubbard U was carried out for a geometry-optimized MgVCr2Fe3P6O24 structure.

Values from the calculation:
relative energy among the computed polymorphs: 38.5 meV/atom
E_tot: -7.24 eV per atom
ΔE_f: -56.2 kcal/mol of atoms

a = 8.602 Å, b = 8.662 Å, c = 8.665 Å
α = 60.20°, β = 60.58°, γ = 89.17°
Space group P1 (No. 1)
Asymmetric unit:
1 Mg 0.000 0.000 0.000 x1
2 V 0.633 0.885 0.237 x1
3 Cr 0.222 0.740 0.520 x1
4 Cr 0.755 0.256 0.493 x1
5 Fe 0.192 0.408 0.194 x1
6 Fe 0.355 0.130 0.752 x1
7 Fe 0.799 0.606 0.798 x1
8 P 0.495 0.797 0.704 x1
9 P 0.496 0.506 0.286 x1
10 P 0.508 0.222 0.983 x1
11 P 0.976 0.292 0.020 x1
12 P 0.985 0.002 0.705 x1
13 P 0.986 0.695 0.308 x1
14 O 0.003 0.843 0.668 x1
15 O 0.004 0.671 0.488 x1
16 O 0.152 0.243 0.903 x1
17 O 0.157 0.855 0.091 x1
18 O 0.160 0.061 0.695 x1
19 O 0.317 0.417 0.326 x1
20 O 0.319 0.658 0.929 x1
21 O 0.328 0.274 0.076 x1
22 O 0.448 0.815 0.542 x1
23 O 0.450 0.652 0.349 x1
24 O 0.469 0.019 0.166 x1
25 O 0.545 0.998 0.654 x1
26 O 0.551 0.356 0.435 x1
27 O 0.552 0.219 0.785 x1
28 O 0.662 0.602 0.056 x1
29 O 0.668 0.734 0.671 x1
30 O 0.678 0.358 0.906 x1
31 O 0.810 0.123 0.131 x1
32 O 0.814 0.755 0.307 x1
33 O 0.819 0.945 0.930 x1
34 O 0.961 0.165 0.535 x1
35 O 0.961 0.298 0.205 x1
36 O 0.964 0.502 0.334 x1
37 O 0.986 0.485 0.858 x1

No. 5
A plane-wave DFT calculation with PBE with a Hubbard U was carried out for a geometry-optimized Fe3OF5 structure.

Values from the calculation:
relative energy among the computed polymorphs: 3.2 meV/atom
E_tot: -5.74 eV per atom
ΔE_f: -55.0 kcal/mol of atoms

a = 3.179 Å, b = 4.836 Å, c = 14.451 Å
α = 90.00°, β = 90.00°, γ = 90.00°
Space group Pmn2_1 (No. 31)
Asymmetric unit:
1 Fe 0.000 0.218 0.000 x2
2 Fe 0.000 0.234 0.347 x2
3 Fe 0.000 0.261 0.677 x2
4 O 0.000 0.941 0.447 x2
5 F 0.000 0.539 0.245 x2
6 F 0.000 0.542 0.914 x2
7 F 0.000 0.561 0.574 x2
8 F 0.000 0.954 0.773 x2
9 F 0.000 0.956 0.110 x2

No. 6
A plane-wave DFT calculation with PBE with a Hubbard U was carried out for a geometry-optimized Li9Mn2Co5O16 structure.

Values from the calculation:
relative energy among the computed polymorphs: 33.5 meV/atom
E_tot: -5.82 eV per atom
ΔE_f: -42.2 kcal/mol of atoms

a = 5.116 Å, b = 7.663 Å, c = 7.824 Å
α = 80.05°, β = 84.86°, γ = 71.12°
Space group P1 (No. 1)
Asymmetric unit:
1 Li 0.000 0.000 0.000 x1
2 Li 0.000 0.246 0.242 x1
3 Li 0.001 0.497 0.488 x1
4 Li 0.500 0.935 0.179 x1
5 Li 0.991 0.626 0.121 x1
6 Li 0.992 0.874 0.359 x1
7 Li 0.993 0.749 0.743 x1
8 Li 0.996 0.125 0.616 x1
9 Li 0.997 0.374 0.869 x1
10 Mn 0.488 0.063 0.807 x1
11 Mn 0.499 0.686 0.935 x1
12 Co 0.481 0.445 0.677 x1
13 Co 0.494 0.817 0.542 x1
14 Co 0.496 0.187 0.429 x1
15 Co 0.500 0.560 0.303 x1
16 Co 0.510 0.295 0.061 x1
17 O 0.248 0.652 0.532 x1
18 O 0.256 0.273 0.656 x1
19 O 0.266 0.033 0.409 x1
20 O 0.269 0.904 0.783 x1
21 O 0.270 0.151 0.005 x1
22 O 0.279 0.758 0.141 x1
23 O 0.280 0.397 0.275 x1
24 O 0.280 0.530 0.903 x1
25 O 0.709 0.608 0.719 x1
26 O 0.710 0.348 0.459 x1
27 O 0.714 0.218 0.828 x1
28 O 0.714 0.985 0.591 x1
29 O 0.722 0.707 0.345 x1
30 O 0.723 0.845 0.947 x1
31 O 0.739 0.477 0.074 x1
32 O 0.746 0.102 0.204 x1